# 1
VASP calculation (GGA+U) on Li4Nb2Co3Sn3O16 after structural relaxation.

Values from the calculation:
* uncorrected energy: -6.665 eV/atom
* formation energy from the elements: -214.2 kJ/mol of atoms
* magnetic moment: 0.00 μB/f.u.

Lattice parameters (Å, degrees): 6.1782 10.6756 11.6568 62.79 74.71 89.78
Sites, in units of the cell vectors:
Li  0.0000  0.0000  0.0000
Li  0.0124  0.6982  0.9181
Li  0.2337  0.2395  0.5142
Li  0.2765  0.6178  0.4223
Li  0.4999  0.4997  0.0003
Li  0.5124  0.1980  0.9180
Li  0.7343  0.7392  0.5141
Li  0.7766  0.1177  0.4223
Nb  0.2125  0.8991  0.5144
Nb  0.4601  0.8217  0.9951
Nb  0.7126  0.3991  0.5144
Nb  0.9595  0.3218  0.9948
Co  0.1130  0.2998  0.7285
Co  0.1268  0.9652  0.2305
Co  0.3708  0.0424  0.7283
Co  0.6132  0.7998  0.7283
Co  0.6270  0.4651  0.2305
Co  0.8711  0.5421  0.7292
Sn  0.1165  0.4634  0.2310
Sn  0.3595  0.5420  0.7327
Sn  0.3683  0.2107  0.2311
Sn  0.6164  0.9634  0.2310
Sn  0.8591  0.0418  0.7327
Sn  0.8685  0.7106  0.2310
O  0.0367  0.5600  0.3566
O  0.0519  0.5391  0.8696
O  0.0756  0.0866  0.8155
O  0.0894  0.0558  0.3633
O  0.1687  0.5144  0.6264
O  0.1746  0.0209  0.6046
O  0.1830  0.8551  0.1091
O  0.1900  0.3593  0.1117
O  0.2695  0.3221  0.8694
O  0.3109  0.8349  0.3634
O  0.3167  0.8149  0.8724
O  0.3254  0.3321  0.3284
O  0.4211  0.7737  0.6049
O  0.4292  0.1032  0.1190
O  0.4291  0.6094  0.1089
O  0.4375  0.2778  0.6038
O  0.5368  0.0600  0.3566
O  0.5524  0.0389  0.8696
O  0.5757  0.5863  0.8160
O  0.5893  0.5557  0.3632
O  0.6690  0.0141  0.6264
O  0.6746  0.5212  0.6043
O  0.6830  0.3552  0.1091
O  0.6899  0.8593  0.1116
O  0.7693  0.8216  0.8696
O  0.8110  0.3349  0.3635
O  0.8170  0.3140  0.8724
O  0.8254  0.8321  0.3284
O  0.9213  0.2743  0.6046
O  0.9291  0.1094  0.1089
O  0.9293  0.6032  0.1190
O  0.9377  0.7779  0.6033



# 2
VASP calculation (GGA+U) on Li4Ti2Nb3Co3O16 after structural relaxation.

Values from the calculation:
* uncorrected energy: -7.525 eV/atom
* formation energy from the elements: -249.4 kJ/mol of atoms
* magnetic moment: 8.00 μB/f.u.

Lattice parameters (Å, degrees): 6.0207 6.0207 9.8517 90.43 90.43 60.81
Sites, in units of the cell vectors:
Li  0.0000  0.0000  0.0000
Li  0.0169  0.0169  0.5134
Li  0.3275  0.3275  0.6078
Li  0.6631  0.6631  0.0954
Ti  0.3236  0.3236  0.9878
Ti  0.6337  0.6337  0.5142
Nb  0.1548  0.6484  0.2831
Nb  0.6484  0.1548  0.2831
Nb  0.8173  0.8173  0.7699
Co  0.1844  0.1844  0.2873
Co  0.3386  0.8229  0.7902
Co  0.8229  0.3386  0.7902
O  0.0344  0.4942  0.1488
O  0.1601  0.6483  0.9045
O  0.1669  0.1669  0.9058
O  0.3356  0.8165  0.4057
O  0.3457  0.3457  0.4092
O  0.4814  0.4814  0.1702
O  0.4942  0.0344  0.1488
O  0.5144  0.5144  0.6487
O  0.5256  0.9600  0.6479
O  0.6483  0.1601  0.9045
O  0.6716  0.6716  0.8991
O  0.8165  0.3356  0.4057
O  0.8322  0.8322  0.3980
O  0.9600  0.5256  0.6479
O  0.9938  0.9938  0.6985
O  0.9950  0.9950  0.1916



# 3
VASP calculation (GGA+U) on SrLiNdCoO4 after structural relaxation.

Values from the calculation:
* uncorrected energy: -6.388 eV/atom
* formation energy from the elements: -243.9 kJ/mol of atoms
* energy above the lowest structure with this stoichiometry: 3.4 kJ per mole of atoms
* magnetic moment: 3.00 μB/f.u.

Lattice parameters (Å, degrees): 3.8305 4.1670 7.2268 89.36 82.05 89.88
Sites, in units of the cell vectors:
Sr  0.0000  0.0000  0.0000
Li  0.5053  0.4949  0.7259
Nd  0.9285  0.9989  0.4934
Co  0.4452  0.4992  0.2716
O  0.1229  0.4965  0.5761
O  0.4841  0.9969  0.2921
O  0.5619  0.9974  0.7844
O  0.9695  0.4972  0.1867



# 4
VASP calculation (GGA+U) on SrLiNdCoO4 after structural relaxation.

Values from the calculation:
* uncorrected energy: -6.423 eV/atom
* formation energy from the elements: -247.3 kJ/mol of atoms
* energy above the lowest structure with this stoichiometry: 0.0 kJ per mole of atoms
* magnetic moment: 3.00 μB/f.u.

Lattice parameters (Å, degrees): 3.3766 3.8812 8.1930 90.57 90.19 90.29
Sites, in units of the cell vectors:
Sr  0.0000  0.0000  0.0000
Li  0.4948  0.5027  0.7273
Nd  0.4913  0.5173  0.3398
Co  0.9917  0.0142  0.6043
O  0.0131  0.9989  0.3188
O  0.4936  0.9983  0.7526
O  0.5038  0.5005  0.0649
O  0.9874  0.5016  0.5619



# 5
VASP calculation (GGA+U) on SrLiNdCoO4 after structural relaxation.

Values from the calculation:
* uncorrected energy: -6.411 eV/atom
* formation energy from the elements: -246.1 kJ/mol of atoms
* energy above the lowest structure with this stoichiometry: 1.2 kJ per mole of atoms
* magnetic moment: 3.00 μB/f.u.

Lattice parameters (Å, degrees): 3.3599 3.8701 8.2847 90.42 90.24 90.27
Sites, in units of the cell vectors:
Sr  0.0000  0.0000  0.0000
Li  0.5053  0.4992  0.2727
Nd  0.5063  0.4984  0.6592
Co  0.0084  0.9990  0.3950
O  0.0088  0.5006  0.4362
O  0.4967  0.5000  0.9313
O  0.5029  0.0020  0.2411
O  0.9890  0.0004  0.6776



# 6
VASP calculation (GGA+U) on SrLiNdCoO4 after structural relaxation.

Values from the calculation:
* uncorrected energy: -6.254 eV/atom
* formation energy from the elements: -231.0 kJ/mol of atoms
* energy above the lowest structure with this stoichiometry: 16.3 kJ per mole of atoms
* magnetic moment: 2.64 μB/f.u.

Lattice parameters (Å, degrees): 3.7428 3.7472 9.3146 100.76 100.65 90.69
Sites, in units of the cell vectors:
Sr  0.0000  0.0000  0.0000
Li  0.2202  0.2177  0.3992
Nd  0.3597  0.3590  0.6996
Co  0.7532  0.7509  0.4698
O  0.2608  0.7584  0.4860
O  0.4828  0.4823  0.9608
O  0.7622  0.2604  0.4898
O  0.8844  0.8820  0.7459